Entry 1:
# HfZr3 | the Materials Project database | GGA-PBE | relaxed
data_HfZr3
_cell_length_a 6.4515
_cell_length_b 6.4515
_cell_length_c 5.1676
_cell_angle_alpha 90.00
_cell_angle_beta 90.00
_cell_angle_gamma 120.00
_symmetry_space_group_name_H-M 'P 63/m m c'
_symmetry_Int_Tables_number 194
_symmetry_space_group_name_Hall '-P 6c 2c'
loop_
_atom_site_label
_atom_site_fract_x
_atom_site_fract_y
_atom_site_fract_z
_atom_site_occupancy
Hf1 0.3333 0.6667 0.2500 1
Zr1 0.1671 0.3341 0.7500 1
# ΔE_f, eV/atom: 0.00
# Crystal system: hexagonal



Entry 2:
# HoHg2 | the Materials Project database | GGA-PBE | relaxed
data_HoHg2
_cell_length_a 4.9486
_cell_length_b 4.9486
_cell_length_c 3.4306
_cell_angle_alpha 90.00
_cell_angle_beta 90.00
_cell_angle_gamma 120.00
_symmetry_space_group_name_H-M 'P 6/m m m'
_symmetry_Int_Tables_number 191
_symmetry_space_group_name_Hall '-P 6 2'
loop_
_atom_site_label
_atom_site_fract_x
_atom_site_fract_y
_atom_site_fract_z
_atom_site_occupancy
Ho1 0.0000 0.0000 0.0000 1
Hg1 0.3333 0.6667 0.5000 1
# ΔE_f, eV/atom: -0.37
# Crystal system: hexagonal